Entry one
A plane-wave DFT calculation with GGA-PBE was carried out for an optimized crystal structure of MgZn2Ag4O8.

The value obtained for the spin magnetization is 0.00 μB per formula unit. The theoretical density comes out at 6161 kg/m³.

The structure belongs to space group P-1 (No. 2); the cell edges are 3.2897, 6.5618 and 9.2715 Å and the angles 78.77°, 86.72° and 78.90°. The inequivalent atoms are Mg at (0.0000, 0.0000, 0.0000), Zn at (0.4104, 0.1273, 0.2451), Ag at (0.2223, 0.7394, 0.4809), Ag at (0.2608, 0.4152, 0.8628), O at (0.0307, 0.2925, 0.0808), O at (0.0904, 0.9415, 0.6365), O at (0.4767, 0.5033, 0.3494) and O at (0.4874, 0.1074, 0.8669).

Entry two
A plane-wave DFT calculation with GGA-PBE was carried out for an optimized crystal structure of MgZn2Ag4O8.

The value obtained for the spin magnetization is 0.00 μB per formula unit. The theoretical density comes out at 5502 kg/m³.

The structure belongs to space group P-1 (No. 2); the cell edges are 3.1338, 8.3693 and 8.5708 Å and the angles 102.42°, 98.00° and 95.24°. The inequivalent atoms are Mg at (0.0000, 0.0000, 0.0000), Zn at (0.2622, 0.7050, 0.2975), Ag at (0.1466, 0.9483, 0.6684), Ag at (0.4009, 0.6714, 0.9556), O at (0.0138, 0.2182, 0.1916), O at (0.1639, 0.1702, 0.5710), O at (0.3109, 0.4172, 0.8351) and O at (0.4938, 0.0945, 0.8861).

Energetically preferred structure: entry one | next structure: +0.036 eV/atom

Entry one
A plane-wave DFT calculation with GGA-PBE was carried out for an optimized crystal structure of MgAgSb.

The theoretical density comes out at 5951 kg/m³.

The structure belongs to space group F-43m (No. 216); the cell edges are 6.5688, 6.5688 and 6.5688 Å and the angles 90.00°, 90.00° and 90.00°. The inequivalent atoms are Mg at (0.0000, 0.0000, 0.0000), Ag at (0.2500, 0.2500, 0.7500) and Sb at (0.0000, 0.0000, 0.5000).

Entry two
A plane-wave DFT calculation with GGA-PBE was carried out for an optimized crystal structure of MgAgSb.

The value obtained for the spin magnetization is 0.00 μB per formula unit. The theoretical density comes out at 6176 kg/m³.

The structure belongs to space group P4/nmm (No. 129, origin choice 2); the cell edges are 4.4572, 4.4572 and 6.8736 Å and the angles 90.00°, 90.00° and 90.00°. The inequivalent atoms are Mg at (0.2500, 0.2500, 0.2003), Ag at (0.2500, 0.7500, 0.5000) and Sb at (0.2500, 0.2500, 0.7802).

Entry three
A plane-wave DFT calculation with GGA-PBE was carried out for an optimized crystal structure of MgAgSb.

The value obtained for the spin magnetization is 0.00 μB per formula unit. The theoretical density comes out at 6073 kg/m³.

The structure belongs to space group I-4c2 (No. 120); the cell edges are 9.2582, 9.2582 and 12.9605 Å and the angles 90.00°, 90.00° and 90.00°. The inequivalent atoms are Mg at (0.0279, 0.2157, 0.3562), Ag at (0.0000, 0.5000, 0.0000), Ag at (0.0000, 0.5000, 0.2500), Ag at (0.2196, 0.2804, 0.0000) and Sb at (0.0280, 0.2343, 0.6319).

Energetically preferred structure: entry one | next structure: +0.010 eV/atom

Entry one
A plane-wave DFT calculation with GGA-PBE was carried out for an optimized crystal structure of MnAg2Sn3S8.

The value obtained for the spin magnetization is 3.13 μB per formula unit. The theoretical density comes out at 4049 kg/m³.

The structure belongs to space group P-1 (No. 2); the cell edges are 7.4851, 7.5389 and 7.6111 Å and the angles 76.85°, 76.82° and 60.99°. The inequivalent atoms are Mn at (0.0000, 0.0000, 0.0000), Ag at (0.0000, 0.5000, 0.0000), Ag at (0.5000, 0.0000, 0.0000), Sn at (0.0000, 0.0000, 0.5000), Sn at (0.3181, 0.3180, 0.4315), S at (0.0636, 0.5964, 0.6606), S at (0.1841, 0.6659, 0.1036), S at (0.3369, 0.8080, 0.9031) and S at (0.4036, 0.9412, 0.3396).

Entry two
A plane-wave DFT calculation with GGA-PBE was carried out for an optimized crystal structure of MnAg2Sn3S8.

The value obtained for the spin magnetization is 4.88 μB per formula unit. The theoretical density comes out at 4628 kg/m³.

The structure belongs to space group R-3m (No. 166, hexagonal axes); the cell edges are 7.6625, 7.6625 and 18.7009 Å and the angles 90.00°, 90.00° and 120.00°. The inequivalent atoms are Mn at (0.0000, 0.0000, 0.0000), Ag at (0.0000, 0.0000, 0.3818), Sn at (0.0000, 0.5000, 0.5000), S at (0.0000, 0.0000, 0.2445) and S at (0.0314, 0.5157, 0.7523).

Energetically preferred structure: entry two | next structure: +0.276 eV/atom

Entry one
A plane-wave DFT calculation with GGA-PBE was carried out for an optimized crystal structure of TaNbAg2O6.

The value obtained for the spin magnetization is 0.00 μB per formula unit. The theoretical density comes out at 7685 kg/m³.

The structure belongs to space group P2_12_12 (No. 18); the cell edges are 5.6867, 15.8519 and 5.6143 Å and the angles 90.00°, 90.00° and 90.00°. The inequivalent atoms are Ta at (0.0187, 0.1249, 0.2529), Nb at (0.0194, 0.3747, 0.2530), Ag at (0.0000, 0.0000, 0.7485), Ag at (0.0000, 0.5000, 0.7497), Ag at (0.0132, 0.2499, 0.7526), O at (0.0000, 0.0000, 0.1930), O at (0.0000, 0.5000, 0.1920), O at (0.0184, 0.7507, 0.3082), O at (0.2128, 0.1105, 0.5324), O at (0.2149, 0.3892, 0.5344), O at (0.2218, 0.8604, 0.9684) and O at (0.2242, 0.6400, 0.9661).

Entry two
A plane-wave DFT calculation with GGA-PBE was carried out for an optimized crystal structure of TaNbAg2O6.

The value obtained for the spin magnetization is 0.00 μB per formula unit. The theoretical density comes out at 7543 kg/m³.

The structure belongs to space group P4/mmm (No. 123); the cell edges are 4.0086, 4.0086 and 8.0222 Å and the angles 90.00°, 90.00° and 90.00°. The inequivalent atoms are Ta at (0.0000, 0.0000, 0.0000), Nb at (0.0000, 0.0000, 0.5000), Ag at (0.5000, 0.5000, 0.2500), O at (0.0000, 0.0000, 0.2485), O at (0.0000, 0.5000, 0.0000) and O at (0.0000, 0.5000, 0.5000).

Energetically preferred structure: entry one | next structure: +0.019 eV/atom

Entry one
A plane-wave DFT calculation with GGA-PBE was carried out for an optimized crystal structure of Nb3AgTe4.

The value obtained for the spin magnetization is 0.00 μB per formula unit. The theoretical density comes out at 7676 kg/m³.

The structure belongs to space group P2_1/m (No. 11); the cell edges are 8.7110, 4.8990 and 9.6552 Å and the angles 90.00°, 109.62° and 90.00°. The inequivalent atoms are Nb at (0.0575, 0.2500, 0.3425), Nb at (0.1646, 0.2500, 0.1101), Nb at (0.4008, 0.2500, 0.5194), Ag at (0.5000, 0.0000, 0.0000), Te at (0.1463, 0.2500, 0.6560), Te at (0.1691, 0.7500, 0.9532), Te at (0.2407, 0.7500, 0.3247) and Te at (0.4665, 0.7500, 0.7036).

Entry two
A plane-wave DFT calculation with GGA-PBE was carried out for an optimized crystal structure of Nb3AgTe4.

The value obtained for the spin magnetization is 0.01 μB per formula unit. The theoretical density comes out at 7600 kg/m³.

The structure belongs to space group P6_3/m (No. 176); the cell edges are 9.8215, 9.8215 and 4.6921 Å and the angles 90.00°, 90.00° and 120.00°. The inequivalent atoms are Nb at (0.1480, 0.6401, 0.2500), Ag at (0.0000, 0.0000, 0.0000), Te at (0.0100, 0.3096, 0.2500) and Te at (0.3333, 0.6667, 0.7500).

Energetically preferred structure: entry two | next structure: +0.044 eV/atom

Entry one
A plane-wave DFT calculation with GGA-PBE was carried out for an optimized crystal structure of NiAg2Sn3S8.

The theoretical density comes out at 4797 kg/m³.

The structure belongs to space group R-3m (No. 166, hexagonal axes); the cell edges are 7.6546, 7.6546 and 18.1546 Å and the angles 90.00°, 90.00° and 120.00°. The inequivalent atoms are Ni at (0.0000, 0.0000, 0.0000), Ag at (0.0000, 0.0000, 0.3938), Sn at (0.0000, 0.5000, 0.5000), S at (0.0000, 0.0000, 0.2472) and S at (0.0381, 0.5190, 0.7479).

Entry two
A plane-wave DFT calculation with GGA-PBE was carried out for an optimized crystal structure of NiAg2Sn3S8.

The value obtained for the spin magnetization is 0.00 μB per formula unit. The theoretical density comes out at 4144 kg/m³.

The structure belongs to space group P-1 (No. 2); the cell edges are 7.1198, 7.7461 and 7.9569 Å and the angles 94.21°, 109.88° and 116.60°. The inequivalent atoms are Ni at (0.0000, 0.0000, 0.0000), Ag at (0.0000, 0.0000, 0.5000), Ag at (0.5000, 0.5000, 0.0000), Sn at (0.2438, 0.5496, 0.4157), Sn at (0.5000, 0.0000, 0.0000), S at (0.1364, 0.3198, 0.0558), S at (0.1923, 0.8690, 0.1532), S at (0.2319, 0.8148, 0.6798) and S at (0.3557, 0.3479, 0.6326).

Energetically preferred structure: entry one | next structure: +0.220 eV/atom

Entry one
A plane-wave DFT calculation with GGA-PBE was carried out for an optimized crystal structure of AgO2.

The value obtained for the spin magnetization is 0.76 μB per formula unit. The theoretical density comes out at 4736 kg/m³.

The structure belongs to space group Pn-3m (No. 224, origin choice 2); the cell edges are 4.6116, 4.6116 and 4.6116 Å and the angles 90.00°, 90.00° and 90.00°. The inequivalent atoms are Ag at (0.2500, 0.2500, 0.2500) and O at (0.0000, 0.0000, 0.0000).

Entry two
A plane-wave DFT calculation with GGA-PBE was carried out for an optimized crystal structure of AgO2.

The value obtained for the spin magnetization is 0.29 μB per formula unit. The theoretical density comes out at 5393 kg/m³.

The structure belongs to space group I4_1/acd (No. 142, origin choice 2); the cell edges are 5.3456, 5.3456 and 12.0568 Å and the angles 90.00°, 90.00° and 90.00°. The inequivalent atoms are Ag at (0.0000, 0.2500, 0.3750) and O at (0.0922, 0.1578, 0.1250).

Energetically preferred structure: entry two | next structure: +0.398 eV/atom

Entry one
A plane-wave DFT calculation with GGA-PBE was carried out for an optimized crystal structure of AgSbO12.

The value obtained for the spin magnetization is 0.01 μB per formula unit. The theoretical density comes out at 4812 kg/m³.

The structure belongs to space group Fd-3m (No. 227, origin choice 2); the cell edges are 10.5192, 10.5192 and 10.5192 Å and the angles 90.00°, 90.00° and 90.00°. The inequivalent atoms are Ag at (0.1250, 0.1250, 0.1250), Sb at (0.1250, 0.1250, 0.6250) and O at (0.0363, 0.0363, 0.8425).

Entry two
A plane-wave DFT calculation with GGA-PBE was carried out for an optimized crystal structure of AgSbO12.

The value obtained for the spin magnetization is 0.00 μB per formula unit. The theoretical density comes out at 3204 kg/m³.

The structure belongs to space group P4_2/n (No. 86, origin choice 2); the cell edges are 7.6662, 7.6662 and 7.4358 Å and the angles 90.00°, 90.00° and 90.00°. The inequivalent atoms are Ag at (0.2500, 0.2500, 0.2500), Sb at (0.2500, 0.2500, 0.7500), O at (0.0332, 0.7264, 0.6991), O at (0.0725, 0.1695, 0.9125) and O at (0.1028, 0.8773, 0.2593).

Energetically preferred structure: entry two | next structure: +0.629 eV/atom